# 1
{
  "formula": "Ti4ZnO6",
  "functional": "PBE",
  "state": "optimized geometry",
  "cell": [[1.475, -4.942, 0.000], [1.475, 4.942, 0.000], [0.000, 0.000, 15.102]],
  "species": ["Ti", "Ti", "Ti", "Ti", "Ti", "Ti", "Ti", "Ti", "Zn", "Zn", "O", "O", "O", "O", "O", "O", "O", "O", "O", "O", "O", "O"],
  "frac_coords": [[0.099, 0.901, 0.630], [0.099, 0.901, 0.870], [0.353, 0.647, 0.540], [0.353, 0.647, 0.960], [0.647, 0.353, 0.040], [0.647, 0.353, 0.460], [0.901, 0.099, 0.130], [0.901, 0.099, 0.370], [0.157, 0.843, 0.250], [0.843, 0.157, 0.750], [0.000, 0.000, 0.000], [0.000, 0.000, 0.500], [0.190, 0.810, 0.750], [0.266, 0.734, 0.094], [0.266, 0.734, 0.406], [0.458, 0.542, 0.659], [0.458, 0.542, 0.841], [0.542, 0.458, 0.159], [0.542, 0.458, 0.341], [0.734, 0.266, 0.594], [0.734, 0.266, 0.906], [0.810, 0.190, 0.250]],
  "spacegroup": "No. 63",
  "delta_e_f_ev_per_atom": -2.76,
  "e_tot_ev_per_atom": -8.068
}



# 2
{
  "formula": "ZrP2H4O9",
  "functional": "PBE",
  "state": "optimized geometry",
  "cell": [[9.508, 0.000, 0.000], [0.000, 5.479, 0.000], [-5.098, 0.000, 15.009]],
  "species": ["Zr", "Zr", "Zr", "Zr", "P", "P", "P", "P", "P", "P", "P", "P", "H", "H", "H", "H", "H", "H", "H", "H", "H", "H", "H", "H", "H", "H", "H", "H", "O", "O", "O", "O", "O", "O", "O", "O", "O", "O", "O", "O", "O", "O", "O", "O", "O", "O", "O", "O", "O", "O", "O", "O", "O", "O", "O", "O", "O", "O", "O", "O", "O", "O", "O", "O"],
  "frac_coords": [[0.241, 0.250, 0.473], [0.241, 0.250, 0.973], [0.759, 0.750, 0.027], [0.759, 0.750, 0.527], [0.005, 0.237, 0.107], [0.005, 0.263, 0.607], [0.420, 0.733, 0.106], [0.420, 0.767, 0.606], [0.580, 0.233, 0.394], [0.580, 0.267, 0.894], [0.995, 0.737, 0.393], [0.995, 0.763, 0.893], [0.142, 0.213, 0.257], [0.142, 0.287, 0.757], [0.183, 0.540, 0.228], [0.183, 0.960, 0.728], [0.334, 0.685, 0.215], [0.334, 0.815, 0.715], [0.336, 0.549, 0.311], [0.336, 0.951, 0.811], [0.664, 0.049, 0.189], [0.664, 0.451, 0.689], [0.666, 0.185, 0.285], [0.666, 0.315, 0.785], [0.817, 0.040, 0.272], [0.817, 0.460, 0.772], [0.858, 0.713, 0.243], [0.858, 0.787, 0.743], [0.076, 0.175, 0.710], [0.076, 0.325, 0.210], [0.081, 0.501, 0.393], [0.081, 0.999, 0.893], [0.094, 0.550, 0.937], [0.094, 0.950, 0.437], [0.135, 0.200, 0.072], [0.135, 0.300, 0.572], [0.270, 0.132, 0.351], [0.270, 0.368, 0.851], [0.275, 0.651, 0.258], [0.275, 0.849, 0.758], [0.360, 0.556, 0.539], [0.360, 0.944, 0.039], [0.388, 0.177, 0.881], [0.388, 0.323, 0.381], [0.401, 0.016, 0.557], [0.401, 0.484, 0.057], [0.599, 0.516, 0.943], [0.599, 0.984, 0.443], [0.612, 0.677, 0.619], [0.612, 0.823, 0.119], [0.640, 0.056, 0.961], [0.640, 0.444, 0.461], [0.725, 0.151, 0.242], [0.725, 0.349, 0.742], [0.730, 0.632, 0.149], [0.730, 0.868, 0.649], [0.865, 0.700, 0.428], [0.865, 0.800, 0.928], [0.906, 0.050, 0.563], [0.906, 0.450, 0.063], [0.919, 0.001, 0.107], [0.919, 0.499, 0.607], [0.924, 0.675, 0.790], [0.924, 0.825, 0.290]],
  "spacegroup": "No. 14",
  "delta_e_f_ev_per_atom": -2.08,
  "e_tot_ev_per_atom": -6.531,
  "de_polymorph_mev_per_atom": 345
}



# 3
{
  "formula": "Nb40N21O16",
  "functional": "PBE",
  "state": "optimized geometry",
  "cell": [[6.083, 0.000, 0.000], [2.722, 6.518, 0.000], [0.723, 0.302, 25.073]],
  "species": ["Nb", "Nb", "Nb", "Nb", "Nb", "Nb", "Nb", "Nb", "Nb", "Nb", "Nb", "Nb", "Nb", "Nb", "Nb", "Nb", "Nb", "Nb", "Nb", "Nb", "Nb", "Nb", "Nb", "Nb", "Nb", "Nb", "Nb", "Nb", "Nb", "Nb", "Nb", "Nb", "Nb", "Nb", "Nb", "Nb", "Nb", "Nb", "Nb", "Nb", "N", "N", "N", "N", "N", "N", "N", "N", "N", "N", "N", "N", "N", "N", "N", "N", "N", "N", "N", "N", "N", "O", "O", "O", "O", "O", "O", "O", "O", "O", "O", "O", "O", "O", "O", "O", "O"],
  "frac_coords": [[0.000, 0.000, 0.000], [0.000, 0.019, 0.753], [0.014, 0.023, 0.252], [0.303, 0.065, 0.609], [0.317, 0.024, 0.101], [0.323, 0.048, 0.860], [0.325, 0.018, 0.345], [0.351, 0.609, 0.924], [0.369, 0.616, 0.674], [0.378, 0.588, 0.797], [0.380, 0.573, 0.047], [0.383, 0.585, 0.173], [0.392, 0.575, 0.295], [0.393, 0.588, 0.545], [0.395, 0.575, 0.421], [0.477, 0.203, 0.488], [0.498, 0.197, 0.234], [0.500, 0.202, 0.983], [0.509, 0.215, 0.734], [0.668, 0.205, 0.360], [0.672, 0.203, 0.109], [0.673, 0.220, 0.610], [0.678, 0.218, 0.860], [0.681, 0.789, 0.983], [0.684, 0.800, 0.735], [0.704, 0.786, 0.236], [0.720, 0.778, 0.486], [0.860, 0.803, 0.858], [0.867, 0.792, 0.108], [0.875, 0.810, 0.607], [0.898, 0.798, 0.359], [0.977, 0.428, 0.550], [0.980, 0.413, 0.923], [0.982, 0.400, 0.170], [0.982, 0.411, 0.672], [0.982, 0.419, 0.299], [0.984, 0.396, 0.418], [0.984, 0.412, 0.048], [0.986, 0.052, 0.500], [0.994, 0.422, 0.799], [0.010, 0.708, 0.033], [0.011, 0.721, 0.782], [0.025, 0.720, 0.281], [0.035, 0.733, 0.530], [0.335, 0.314, 0.563], [0.342, 0.259, 0.410], [0.343, 0.281, 0.160], [0.345, 0.282, 0.060], [0.345, 0.307, 0.910], [0.346, 0.289, 0.311], [0.347, 0.317, 0.662], [0.352, 0.294, 0.811], [0.722, 0.312, 0.532], [0.734, 0.278, 0.436], [0.736, 0.292, 0.032], [0.738, 0.295, 0.283], [0.739, 0.313, 0.783], [0.762, 0.256, 0.185], [0.811, 0.216, 0.935], [0.820, 0.214, 0.686], [0.999, 0.736, 0.934], [0.009, 0.734, 0.682], [0.021, 0.686, 0.181], [0.034, 0.659, 0.433], [0.180, 0.922, 0.412], [0.236, 0.929, 0.175], [0.298, 0.946, 0.690], [0.298, 0.948, 0.939], [0.358, 0.963, 0.517], [0.555, 0.785, 0.814], [0.584, 0.747, 0.064], [0.624, 0.723, 0.315], [0.651, 0.698, 0.412], [0.660, 0.662, 0.909], [0.662, 0.673, 0.162], [0.664, 0.692, 0.563], [0.672, 0.672, 0.661]],
  "spacegroup": "No. 1",
  "delta_e_f_ev_per_atom": -1.16,
  "e_tot_ev_per_atom": -9.563
}



# 4
{
  "formula": "Sr3Ir2O7",
  "functional": "PBE",
  "state": "optimized geometry",
  "cell": [[2.786, -10.574, 0.000], [2.786, 10.574, 0.000], [0.000, 0.000, 5.573]],
  "species": ["Sr", "Sr", "Sr", "Sr", "Sr", "Sr", "Ir", "Ir", "Ir", "Ir", "O", "O", "O", "O", "O", "O", "O", "O", "O", "O", "O", "O", "O", "O"],
  "frac_coords": [[0.063, 0.937, 0.750], [0.250, 0.750, 0.750], [0.437, 0.563, 0.750], [0.563, 0.437, 0.250], [0.750, 0.250, 0.250], [0.937, 0.063, 0.250], [0.153, 0.847, 0.250], [0.347, 0.653, 0.250], [0.653, 0.347, 0.750], [0.847, 0.153, 0.750], [0.035, 0.342, 0.061], [0.056, 0.944, 0.250], [0.158, 0.465, 0.561], [0.250, 0.750, 0.250], [0.342, 0.035, 0.561], [0.444, 0.556, 0.250], [0.465, 0.158, 0.061], [0.535, 0.842, 0.939], [0.556, 0.444, 0.750], [0.658, 0.965, 0.439], [0.750, 0.250, 0.750], [0.842, 0.535, 0.439], [0.944, 0.056, 0.750], [0.965, 0.658, 0.939]],
  "spacegroup": "No. 68",
  "delta_e_f_ev_per_atom": -2.21,
  "e_tot_ev_per_atom": -6.592,
  "de_polymorph_mev_per_atom": 0
}



# 5
{
  "formula": "CaH2O2",
  "functional": "PBE",
  "state": "optimized geometry",
  "cell": [[3.158, -1.796, 0.000], [3.158, 1.796, 0.000], [-0.633, 0.000, 4.971]],
  "species": ["Ca", "H", "H", "O", "O"],
  "frac_coords": [[0.000, 0.000, 0.000], [0.202, 0.376, 0.583], [0.624, 0.798, 0.417], [0.309, 0.306, 0.770], [0.694, 0.691, 0.230]],
  "spacegroup": "No. 5",
  "delta_e_f_ev_per_atom": -2.16,
  "e_tot_ev_per_atom": -5.621,
  "e_ij_max_c_m2": 1.32,
  "de_polymorph_mev_per_atom": 7
}



# 6
{
  "formula": "In2Br3",
  "functional": "PBE",
  "state": "optimized geometry",
  "cell": [[13.237, 0.000, 0.000], [0.000, 13.406, 0.000], [0.000, 0.000, 16.785]],
  "species": ["In", "In", "In", "In", "In", "In", "In", "In", "In", "In", "In", "In", "In", "In", "In", "In", "In", "In", "In", "In", "In", "In", "In", "In", "In", "In", "In", "In", "In", "In", "In", "In", "Br", "Br", "Br", "Br", "Br", "Br", "Br", "Br", "Br", "Br", "Br", "Br", "Br", "Br", "Br", "Br", "Br", "Br", "Br", "Br", "Br", "Br", "Br", "Br", "Br", "Br", "Br", "Br", "Br", "Br", "Br", "Br", "Br", "Br", "Br", "Br", "Br", "Br", "Br", "Br", "Br", "Br", "Br", "Br", "Br", "Br", "Br", "Br"],
  "frac_coords": [[0.061, 0.152, 0.250], [0.062, 0.394, 0.445], [0.070, 0.382, 0.059], [0.103, 0.020, 0.550], [0.134, 0.693, 0.665], [0.139, 0.695, 0.831], [0.214, 0.011, 0.253], [0.227, 0.324, 0.752], [0.273, 0.676, 0.252], [0.286, 0.989, 0.753], [0.361, 0.305, 0.331], [0.366, 0.307, 0.165], [0.397, 0.980, 0.050], [0.430, 0.618, 0.559], [0.438, 0.606, 0.945], [0.439, 0.848, 0.750], [0.561, 0.348, 0.750], [0.562, 0.106, 0.555], [0.570, 0.118, 0.941], [0.603, 0.480, 0.450], [0.634, 0.807, 0.335], [0.639, 0.805, 0.169], [0.714, 0.489, 0.747], [0.727, 0.176, 0.248], [0.773, 0.824, 0.748], [0.786, 0.511, 0.247], [0.861, 0.195, 0.669], [0.866, 0.193, 0.835], [0.897, 0.520, 0.950], [0.930, 0.882, 0.441], [0.938, 0.894, 0.055], [0.939, 0.652, 0.250], [0.041, 0.238, 0.607], [0.042, 0.241, 0.894], [0.060, 0.633, 0.126], [0.062, 0.632, 0.373], [0.090, 0.348, 0.250], [0.091, 0.961, 0.746], [0.172, 0.518, 0.895], [0.176, 0.516, 0.605], [0.191, 0.888, 0.372], [0.197, 0.893, 0.126], [0.239, 0.199, 0.419], [0.242, 0.198, 0.080], [0.258, 0.802, 0.580], [0.261, 0.801, 0.919], [0.303, 0.107, 0.626], [0.309, 0.112, 0.872], [0.324, 0.484, 0.105], [0.328, 0.482, 0.395], [0.409, 0.039, 0.246], [0.410, 0.652, 0.750], [0.438, 0.368, 0.873], [0.440, 0.367, 0.626], [0.458, 0.759, 0.394], [0.459, 0.762, 0.107], [0.541, 0.262, 0.393], [0.542, 0.259, 0.106], [0.560, 0.867, 0.874], [0.562, 0.868, 0.627], [0.590, 0.152, 0.750], [0.591, 0.539, 0.254], [0.672, 0.982, 0.105], [0.676, 0.984, 0.395], [0.691, 0.612, 0.628], [0.697, 0.607, 0.874], [0.739, 0.301, 0.581], [0.742, 0.302, 0.920], [0.758, 0.698, 0.420], [0.761, 0.699, 0.081], [0.803, 0.393, 0.374], [0.809, 0.388, 0.128], [0.824, 0.016, 0.895], [0.828, 0.018, 0.605], [0.909, 0.461, 0.754], [0.910, 0.848, 0.250], [0.938, 0.132, 0.127], [0.940, 0.133, 0.374], [0.958, 0.741, 0.606], [0.959, 0.738, 0.893]],
  "spacegroup": "No. 19",
  "delta_e_f_ev_per_atom": -1.07,
  "e_tot_ev_per_atom": -2.834
}



# 7
{
  "formula": "DyP",
  "functional": "PBE",
  "state": "optimized geometry",
  "cell": [[0.000, 2.834, 2.834], [2.834, 0.000, 2.834], [2.834, 2.834, 0.000]],
  "species": ["Dy", "P"],
  "frac_coords": [[0.000, 0.000, 0.000], [0.500, 0.500, 0.500]],
  "spacegroup": "No. 225",
  "delta_e_f_ev_per_atom": -1.61,
  "e_tot_ev_per_atom": -6.621
}



# 8
{
  "formula": "Ba5Li2U3O15",
  "functional": "PBE",
  "state": "optimized geometry",
  "cell": [[-6.814, 6.814, 4.323], [6.814, -6.814, 4.323], [6.814, 6.814, -4.323]],
  "species": ["Ba", "Ba", "Ba", "Ba", "Ba", "Ba", "Ba", "Ba", "Ba", "Ba", "Li", "Li", "Li", "Li", "U", "U", "U", "U", "U", "U", "O", "O", "O", "O", "O", "O", "O", "O", "O", "O", "O", "O", "O", "O", "O", "O", "O", "O", "O", "O", "O", "O", "O", "O", "O", "O", "O", "O", "O", "O"],
  "frac_coords": [[0.026, 0.343, 0.892], [0.134, 0.026, 0.682], [0.250, 0.750, 0.500], [0.343, 0.452, 0.318], [0.452, 0.134, 0.108], [0.548, 0.866, 0.892], [0.657, 0.548, 0.682], [0.750, 0.250, 0.500], [0.866, 0.974, 0.318], [0.974, 0.657, 0.108], [0.098, 0.697, 0.795], [0.303, 0.098, 0.400], [0.697, 0.902, 0.600], [0.902, 0.303, 0.205], [0.000, 0.000, 0.000], [0.199, 0.401, 0.600], [0.401, 0.801, 0.202], [0.500, 0.500, 0.000], [0.599, 0.199, 0.798], [0.801, 0.599, 0.400], [0.036, 0.838, 0.400], [0.048, 0.860, 0.908], [0.053, 0.349, 0.402], [0.140, 0.048, 0.188], [0.155, 0.544, 0.699], [0.162, 0.562, 0.198], [0.247, 0.257, 0.504], [0.257, 0.753, 0.011], [0.262, 0.262, 0.000], [0.349, 0.947, 0.296], [0.356, 0.452, 0.808], [0.364, 0.964, 0.802], [0.438, 0.636, 0.600], [0.452, 0.644, 0.096], [0.456, 0.155, 0.610], [0.544, 0.845, 0.390], [0.548, 0.356, 0.904], [0.562, 0.364, 0.400], [0.636, 0.036, 0.198], [0.644, 0.548, 0.192], [0.651, 0.053, 0.704], [0.738, 0.738, 0.000], [0.743, 0.247, 0.989], [0.753, 0.743, 0.496], [0.838, 0.438, 0.802], [0.845, 0.456, 0.301], [0.860, 0.952, 0.812], [0.947, 0.651, 0.598], [0.952, 0.140, 0.092], [0.964, 0.162, 0.600]],
  "spacegroup": "No. 87",
  "delta_e_f_ev_per_atom": -3.39,
  "e_tot_ev_per_atom": -7.837
}



# 9
{
  "formula": "Sb3O2F5",
  "functional": "PBE",
  "state": "optimized geometry",
  "cell": [[5.697, 0.000, 0.000], [0.000, 18.524, 0.000], [0.000, 0.000, 6.604]],
  "species": ["Sb", "Sb", "Sb", "Sb", "Sb", "Sb", "Sb", "Sb", "Sb", "Sb", "Sb", "Sb", "O", "O", "O", "O", "O", "O", "O", "O", "F", "F", "F", "F", "F", "F", "F", "F", "F", "F", "F", "F", "F", "F", "F", "F", "F", "F", "F", "F"],
  "frac_coords": [[0.119, 0.101, 0.038], [0.119, 0.399, 0.038], [0.215, 0.750, 0.953], [0.285, 0.250, 0.453], [0.381, 0.601, 0.538], [0.381, 0.899, 0.538], [0.619, 0.101, 0.462], [0.619, 0.399, 0.462], [0.715, 0.750, 0.547], [0.785, 0.250, 0.047], [0.881, 0.601, 0.962], [0.881, 0.899, 0.962], [0.044, 0.674, 0.782], [0.044, 0.826, 0.782], [0.456, 0.174, 0.282], [0.456, 0.326, 0.282], [0.544, 0.674, 0.718], [0.544, 0.826, 0.718], [0.956, 0.174, 0.218], [0.956, 0.326, 0.218], [0.089, 0.528, 0.823], [0.089, 0.972, 0.823], [0.099, 0.250, 0.890], [0.151, 0.620, 0.152], [0.151, 0.880, 0.152], [0.349, 0.120, 0.652], [0.349, 0.380, 0.652], [0.401, 0.750, 0.390], [0.411, 0.028, 0.323], [0.411, 0.472, 0.323], [0.589, 0.528, 0.677], [0.589, 0.972, 0.677], [0.599, 0.250, 0.610], [0.651, 0.620, 0.348], [0.651, 0.880, 0.348], [0.849, 0.120, 0.848], [0.849, 0.380, 0.848], [0.901, 0.750, 0.110], [0.911, 0.028, 0.177], [0.911, 0.472, 0.177]],
  "spacegroup": "No. 62",
  "delta_e_f_ev_per_atom": -2.35,
  "e_tot_ev_per_atom": -5.163,
  "de_polymorph_mev_per_atom": 57
}